a | ## Y3Ge (GGA-PBE)

Data for crystalline Y3Ge at its relaxed geometry.

abc: 6.1052 6.1052 6.1052
angles: 136.44 136.44 63.30
Closest atoms and distances in Å follow each position.
Element x y z (fractional)
Y (0.5000, 0.5000, 0.0000)  4 Ge 3.20, 8 Y 3.45
Y (0.7500, 0.2500, 0.5000)  8 Y 3.20-3.45, 4 Ge 3.45
Ge (0.0000, 0.0000, 0.0000)  12 Y 3.20-3.45
Y (0.2500, 0.7500, 0.5000)  8 Y 3.20-3.45, 4 Ge 3.45

Computed properties:
SG: I4/mmm
M_tot in μB per cell: 0.25

b | ## Y3Ge (GGA-PBE)

Data for crystalline Y3Ge at its relaxed geometry.

abc: 6.7254 6.7254 5.3197
angles: 90.00 90.00 120.00
Closest atoms and distances in Å follow each position.
Element x y z (fractional)
Y (0.8261, 0.1739, 0.7500)  8 Y 3.22-3.51, 4 Ge 3.24-3.36
Y (0.3479, 0.1739, 0.7500)  8 Y 3.22-3.51, 4 Ge 3.24-3.36
Y (0.1739, 0.3479, 0.2500)  8 Y 3.22-3.51, 4 Ge 3.24-3.36
Y (0.8261, 0.6521, 0.7500)  8 Y 3.22-3.51, 4 Ge 3.24-3.36
Ge (0.6667, 0.3333, 0.2500)  12 Y 3.24-3.36
Ge (0.3333, 0.6667, 0.7500)  12 Y 3.24-3.36
Y (0.1739, 0.8261, 0.2500)  8 Y 3.22-3.51, 4 Ge 3.24-3.36
Y (0.6521, 0.8261, 0.2500)  8 Y 3.22-3.51, 4 Ge 3.24-3.36

Computed properties:
SG: P6_3/mmc
M_tot in μB per cell: 1.21

Preferred: b; penalty for the next structure: 8 meV/atom.

a | ## Hg3H4I2O12 (GGA-PBE)

Data for crystalline Hg3H4I2O12 at its relaxed geometry.

abc: 8.9157 9.7408 12.3881
angles: 90.00 90.00 91.00
Closest atoms and distances in Å follow each position.
Element x y z (fractional)
H (0.5202, 0.4170, 0.7261)  1 O 1.00
I (0.4846, 0.7670, 0.1328)  6 O 1.85-1.97
O (0.5782, 0.9090, 0.2197)  1 H 1.92, 1 I 1.93, 1 Hg 2.12
H (0.9669, 0.9098, 0.2254)  1 O 1.00
O (0.4011, 0.6083, 0.0591)  1 I 1.93, 1 Hg 2.12
H (0.4798, 0.5830, 0.2739)  1 O 1.00
O (0.0996, 0.1133, 0.5549)  1 I 1.93, 1 Hg 2.11
O (0.4632, 0.6464, 0.5047)  1 I 1.85
O (0.5989, 0.3917, 0.9409)  1 I 1.93, 1 Hg 2.12
Hg (0.4020, 0.6204, 0.8883)  2 O 2.12
O (0.9109, 0.8214, 0.2378)  1 H 1.00
O (0.5989, 0.8917, 0.5591)  1 I 1.93, 1 Hg 2.12
I (0.9800, 0.7298, 0.3710)  6 O 1.85-1.98
Hg (0.9042, 0.8773, 0.6155)  2 O 2.11
H (0.0331, 0.5902, 0.7254)  1 O 1.00
Hg (0.0958, 0.1227, 0.3845)  2 O 2.11
Hg (0.4020, 0.1204, 0.6117)  2 O 2.12
H (0.7508, 0.7189, 0.1719)  1 O 1.00
O (0.1646, 0.3438, 0.1383)  1 H 0.99
Hg (0.7526, 0.9902, 0.9843)  4 O 2.28-2.35
H (0.7584, 0.7081, 0.8220)  1 O 0.99
I (0.0200, 0.2702, 0.6290)  6 O 1.85-1.98
H (0.2492, 0.7811, 0.6719)  1 O 1.00
O (0.4218, 0.5910, 0.7197)  1 H 1.92, 1 I 1.93, 1 Hg 2.12
Hg (0.2474, 0.5098, 0.4843)  4 O 2.28-2.35
H (0.7584, 0.2081, 0.6780)  1 O 0.99
O (0.4011, 0.1083, 0.4409)  1 I 1.93, 1 Hg 2.12
O (0.3283, 0.3370, 0.8658)  1 H 1.00
Hg (0.2474, 0.0098, 0.0157)  4 O 2.28-2.35
I (0.0200, 0.7702, 0.8710)  6 O 1.85-1.98
O (0.4218, 0.0910, 0.7803)  1 H 1.92, 1 I 1.93, 1 Hg 2.12
O (0.5368, 0.3536, 0.4953)  1 I 1.85
O (0.5749, 0.3291, 0.7332)  1 H 1.00
O (0.2045, 0.3604, 0.6304)  1 I 1.85
O (0.4632, 0.1464, 0.9953)  1 I 1.85
Hg (0.7526, 0.4902, 0.5157)  4 O 2.28-2.35
O (0.2045, 0.8604, 0.8696)  1 I 1.85
O (0.2949, 0.3468, 0.3575)  1 I 1.88
Hg (0.9042, 0.3773, 0.8845)  2 O 2.11
I (0.4846, 0.2670, 0.3672)  6 O 1.85-1.97
I (0.5154, 0.2330, 0.8672)  6 O 1.85-1.97
O (0.5368, 0.8536, 0.0047)  1 I 1.85
O (0.9526, 0.3490, 0.5010)  1 I 1.87
O (0.0474, 0.1510, 0.0010)  1 I 1.87
I (0.5154, 0.7330, 0.6328)  6 O 1.85-1.97
O (0.6717, 0.1630, 0.3658)  1 H 1.00
O (0.5782, 0.4090, 0.2803)  1 H 1.92, 1 I 1.93, 1 Hg 2.12
O (0.5749, 0.8291, 0.7668)  1 H 1.00
I (0.9800, 0.2298, 0.1290)  6 O 1.85-1.98
O (0.0743, 0.0913, 0.2164)  1 I 1.93, 1 H 2.00, 1 Hg 2.11
O (0.7955, 0.1396, 0.1304)  1 I 1.85
Hg (0.5980, 0.3796, 0.1117)  2 O 2.12
O (0.9004, 0.3867, 0.0549)  1 I 1.93, 1 Hg 2.11
Hg (0.5980, 0.8796, 0.3883)  2 O 2.12
O (0.7051, 0.1532, 0.8575)  1 I 1.88
O (0.1646, 0.8438, 0.3617)  1 H 0.99
O (0.4251, 0.6709, 0.2668)  1 H 1.00
H (0.9669, 0.4098, 0.2746)  1 O 1.00
O (0.0891, 0.1786, 0.7622)  1 H 1.00
O (0.0743, 0.5913, 0.2836)  1 I 1.93, 1 H 2.00, 1 Hg 2.11
O (0.3283, 0.8370, 0.6342)  1 H 1.00
O (0.8354, 0.6562, 0.8617)  1 H 0.99
H (0.0331, 0.0902, 0.7746)  1 O 1.00
O (0.9109, 0.3214, 0.2622)  1 H 1.00
O (0.6717, 0.6630, 0.1342)  1 H 1.00
O (0.0474, 0.6510, 0.4990)  1 I 1.87
O (0.9526, 0.8490, 0.9990)  1 I 1.87
O (0.7955, 0.6396, 0.3696)  1 I 1.85
O (0.2949, 0.8468, 0.1425)  1 I 1.88
O (0.9257, 0.4087, 0.7164)  1 I 1.93, 1 H 2.00, 1 Hg 2.11
O (0.4251, 0.1709, 0.2332)  1 H 1.00
O (0.8354, 0.1562, 0.6383)  1 H 0.99
H (0.7508, 0.2189, 0.3281)  1 O 1.00
H (0.4798, 0.0830, 0.2261)  1 O 1.00
H (0.5202, 0.9170, 0.7739)  1 O 1.00
H (0.2492, 0.2811, 0.8281)  1 O 1.00
O (0.0996, 0.6133, 0.9451)  1 I 1.93, 1 Hg 2.11
H (0.2416, 0.2919, 0.1780)  1 O 0.99
O (0.0891, 0.6786, 0.7378)  1 H 1.00
O (0.9257, 0.9087, 0.7836)  1 I 1.93, 1 H 2.00, 1 Hg 2.11
O (0.7051, 0.6532, 0.6425)  1 I 1.88
O (0.9004, 0.8867, 0.4451)  1 I 1.93, 1 Hg 2.11
H (0.2416, 0.7919, 0.3220)  1 O 0.99
Hg (0.0958, 0.6227, 0.1155)  2 O 2.11

Computed properties:
SG: P2_1/c
M_tot in μB per cell: 0.00

b | ## Hg3H4I2O12 (GGA-PBE)

Data for crystalline Hg3H4I2O12 at its relaxed geometry.

abc: 13.8881 9.3063 10.0590
angles: 87.94 90.00 90.00
Closest atoms and distances in Å follow each position.
Element x y z (fractional)
H (0.8434, 0.7882, 0.6829)  1 O 0.98
H (0.8384, 0.1561, 0.0420)  1 O 0.98
O (0.9506, 0.1283, 0.5970)  2 Hg 2.06-2.14
O (0.0494, 0.8717, 0.4030)  2 Hg 2.06-2.14
O (0.6188, 0.6764, 0.6678)  1 I 1.85
O (0.0422, 0.5032, 0.6271)  1 I 1.87
O (0.7452, 0.4208, 0.0644)  1 H 0.99
O (0.8500, 0.5907, 0.7808)  1 O 1.24
H (0.2782, 0.6423, 0.4982)  1 O 0.99
O (0.2146, 0.3982, 0.1350)  1 O 1.24
I (0.3804, 0.5163, 0.2787)  3 O 1.80-1.87
O (0.8070, 0.8861, 0.9370)  1 H 1.00
O (0.8002, 0.0793, 0.2862)  1 I 2.00, 1 Hg 2.07
H (0.3434, 0.2118, 0.8171)  1 O 0.98
O (0.8812, 0.6764, 0.1678)  1 I 1.85
O (0.2452, 0.5792, 0.4356)  1 H 0.99
Hg (0.5282, 0.7946, 0.5146)  4 O 2.25-2.46
Hg (0.5820, 0.9634, 0.8564)  2 O 2.06-2.07
I (0.1597, 0.9665, 0.2054)  4 O 1.97-2.03
O (0.6998, 0.0793, 0.7862)  1 I 2.00, 1 Hg 2.07
O (0.9578, 0.4968, 0.3729)  1 I 1.87
Hg (0.0282, 0.2054, 0.9854)  4 O 2.25-2.46
H (0.6616, 0.1561, 0.5420)  1 O 0.98
O (0.3070, 0.1139, 0.5630)  1 H 1.00
O (0.4678, 0.5908, 0.3892)  1 I 1.80
O (0.1500, 0.4093, 0.2192)  1 O 1.24
I (0.1196, 0.5163, 0.7787)  3 O 1.80-1.87
H (0.2218, 0.6423, 0.9982)  1 O 0.99
H (0.7545, 0.9072, 0.0009)  1 O 1.00
Hg (0.9718, 0.7946, 0.0146)  4 O 2.25-2.46
I (0.8804, 0.4837, 0.2213)  3 O 1.80-1.87
O (0.1188, 0.3236, 0.8322)  1 I 1.85
O (0.1930, 0.1139, 0.0630)  1 H 1.00
H (0.7218, 0.3577, 0.5018)  1 O 0.99
O (0.7854, 0.6018, 0.8650)  1 O 1.24
O (0.7548, 0.4208, 0.5644)  1 H 0.99
H (0.2455, 0.0928, 0.9991)  1 O 1.00
O (0.2854, 0.3982, 0.6350)  1 O 1.24
O (0.4506, 0.8717, 0.9030)  2 Hg 2.06-2.14
O (0.3812, 0.3236, 0.3322)  1 I 1.85
O (0.5322, 0.4092, 0.6108)  1 I 1.80
O (0.1998, 0.9207, 0.7138)  1 I 2.00, 1 Hg 2.07
H (0.1566, 0.2118, 0.3171)  1 O 0.98
O (0.5494, 0.1283, 0.0970)  2 Hg 2.06-2.14
O (0.2548, 0.5792, 0.9356)  1 H 0.99
O (0.8579, 0.1947, 0.9538)  1 H 0.98
O (0.3002, 0.9207, 0.2138)  1 I 2.00, 1 Hg 2.07
O (0.0311, 0.0402, 0.1564)  1 I 1.97
O (0.1804, 0.1160, 0.3450)  1 H 0.98
O (0.3196, 0.1160, 0.8450)  1 H 0.98
H (0.6566, 0.7882, 0.1829)  1 O 0.98
H (0.1616, 0.8439, 0.9580)  1 O 0.98
O (0.8196, 0.8840, 0.6550)  1 H 0.98
H (0.7455, 0.9072, 0.5009)  1 O 1.00
Hg (0.4066, 0.6524, 0.9351)  2 O 2.14-2.22
Hg (0.5934, 0.3476, 0.0649)  2 O 2.14-2.22
O (0.6804, 0.8840, 0.1550)  1 H 0.98
O (0.6500, 0.5907, 0.2808)  1 O 1.24
I (0.6196, 0.4837, 0.7213)  3 O 1.80-1.87
O (0.0322, 0.5908, 0.8892)  1 I 1.80
O (0.9689, 0.9598, 0.8436)  1 I 1.97
H (0.2545, 0.0928, 0.4991)  1 O 1.00
I (0.3403, 0.9665, 0.7054)  4 O 1.97-2.03
O (0.3500, 0.4093, 0.7192)  1 O 1.24
O (0.6421, 0.1947, 0.4538)  1 H 0.98
O (0.6930, 0.8861, 0.4370)  1 H 1.00
O (0.9678, 0.4092, 0.1108)  1 I 1.80
H (0.7782, 0.3577, 0.0018)  1 O 0.99
I (0.6597, 0.0335, 0.2946)  4 O 1.97-2.03
O (0.5311, 0.9598, 0.3436)  1 I 1.97
Hg (0.0820, 0.0366, 0.6436)  2 O 2.06-2.07
O (0.4578, 0.5032, 0.1271)  1 I 1.87
I (0.8403, 0.0335, 0.7946)  4 O 1.97-2.03
O (0.1421, 0.8053, 0.0462)  1 H 0.98
O (0.4689, 0.0402, 0.6564)  1 I 1.97
Hg (0.4718, 0.2054, 0.4854)  4 O 2.25-2.46
H (0.3384, 0.8439, 0.4580)  1 O 0.98
O (0.5422, 0.4968, 0.8729)  1 I 1.87
Hg (0.0934, 0.6524, 0.4351)  2 O 2.14-2.22
O (0.3579, 0.8053, 0.5462)  1 H 0.98
Hg (0.9066, 0.3476, 0.5649)  2 O 2.14-2.22
Hg (0.9180, 0.9634, 0.3564)  2 O 2.06-2.07
Hg (0.4180, 0.0366, 0.1436)  2 O 2.06-2.07
O (0.7146, 0.6018, 0.3650)  1 O 1.24

Computed properties:
SG: P2_1/c
M_tot in μB per cell: 8.00

Preferred: a; penalty for the next structure: 71 meV/atom.